Record 1
Material: Na3Mn5O12
Method: DFT, PBE with a Hubbard U
State: relaxed

CIF file:
```
data_Na3Mn5O12
_symmetry_space_group_name_H-M 'P 1'
_symmetry_Int_Tables_number 1
_cell_length_a 5.058
_cell_length_b 8.645
_cell_length_c 5.857
_cell_angle_alpha 90.00
_cell_angle_beta 108.21
_cell_angle_gamma 90.00
loop_
_symmetry_equiv_pos_as_xyz
'x,y,z'
loop_
_atom_site_label
_atom_site_type_symbol
_atom_site_fract_x
_atom_site_fract_y
_atom_site_fract_z
Na1 Na 0.000 0.000 0.000
Na2 Na 0.500 0.194 0.000
Na3 Na 0.500 0.806 0.000
Mn1 Mn 0.000 0.161 0.500
Mn2 Mn 0.000 0.500 0.500
Mn3 Mn 0.000 0.839 0.500
Mn4 Mn 0.500 0.325 0.500
Mn5 Mn 0.500 0.675 0.500
O1 O 0.201 0.000 0.701
O2 O 0.233 0.332 0.678
O3 O 0.233 0.668 0.678
O4 O 0.248 0.183 0.308
O5 O 0.248 0.817 0.308
O6 O 0.270 0.500 0.329
O7 O 0.730 0.500 0.671
O8 O 0.752 0.183 0.692
O9 O 0.752 0.817 0.692
O10 O 0.767 0.332 0.322
O11 O 0.767 0.668 0.322
O12 O 0.799 0.000 0.299
```

* formation energy from the elements: -175 kJ per mole of atoms
* DFT total energy: -128.76 eV/f.u.

---

Record 2
Material: CoPO4
Method: DFT, PBE with a Hubbard U
State: relaxed

CIF file:
```
data_CoPO4
_symmetry_space_group_name_H-M 'P 1'
_symmetry_Int_Tables_number 1
_cell_length_a 10.587
_cell_length_b 6.530
_cell_length_c 5.126
_cell_angle_alpha 90.00
_cell_angle_beta 90.00
_cell_angle_gamma 90.00
loop_
_symmetry_equiv_pos_as_xyz
'x,y,z'
loop_
_atom_site_label
_atom_site_type_symbol
_atom_site_fract_x
_atom_site_fract_y
_atom_site_fract_z
Co1 Co 0.166 0.032 0.000
Co2 Co 0.334 0.532 0.500
Co3 Co 0.666 0.468 0.000
Co4 Co 0.834 0.968 0.500
P1 P 0.095 0.780 0.500
P2 P 0.405 0.280 0.000
P3 P 0.595 0.720 0.500
P4 P 0.905 0.220 0.000
O1 O 0.047 0.239 0.935
O2 O 0.113 0.814 0.797
O3 O 0.153 0.966 0.352
O4 O 0.164 0.579 0.425
O5 O 0.336 0.079 0.925
O6 O 0.347 0.466 0.852
O7 O 0.387 0.314 0.297
O8 O 0.453 0.739 0.435
O9 O 0.547 0.261 0.935
O10 O 0.613 0.686 0.797
O11 O 0.653 0.534 0.352
O12 O 0.664 0.921 0.425
O13 O 0.836 0.421 0.925
O14 O 0.847 0.034 0.852
O15 O 0.887 0.186 0.297
O16 O 0.953 0.761 0.435
```

* formation energy from the elements: -200 kJ per mole of atoms
* DFT total energy: -40.34 eV/f.u.

---

Look up the formation energy from the elements of the first one. -175 kJ per mole of atoms